## A
Compound: Fe3P2O16
Source: the Materials Project
Functional: PBE+U
Structure: relaxed

POSCAR file:
```
Fe3P2O16
1.0
3.438 -2.294 1.949
-4.581 -5.698 0.007
3.367 -0.871 -7.558
Fe P O
3 2 16
Cartesian
0.000 0.000 0.000
0.018 -5.256 -2.047
2.206 -3.607 -3.555
3.003 -4.432 -0.559
-0.779 -4.431 -5.042
1.320 -6.714 -2.343
0.904 -2.149 -3.258
2.974 -5.432 -3.866
-0.749 -3.431 -1.736
2.996 -3.222 0.428
-0.772 -5.641 -6.030
4.758 -2.900 -5.153
-2.534 -5.963 -0.449
-0.323 -5.686 0.096
2.547 -3.177 -5.698
-1.561 -5.927 0.555
3.785 -2.936 -6.157
1.845 -4.162 -1.593
0.379 -4.701 -4.008
3.723 -2.551 -3.121
-1.499 -6.312 -2.480
```

## B
Compound: Fe3P2O16
Source: the Materials Project
Functional: PBE+U
Structure: relaxed

POSCAR file:
```
Fe3P2O16
1.0
-2.666 -1.750 -3.209
5.658 -2.117 -5.180
2.119 -9.617 0.422
Fe P O
3 2 16
Cartesian
1.060 -4.808 0.211
1.837 -10.203 -2.205
3.274 -3.280 -5.762
-2.023 -3.418 -3.030
7.134 -10.066 -4.937
4.794 -3.953 -4.697
0.317 -9.531 -3.270
0.964 -1.334 -1.295
4.147 -12.150 -6.672
-1.269 -4.699 -2.595
6.380 -8.784 -5.372
-1.486 -2.224 -2.146
6.597 -11.260 -5.821
3.118 -10.289 -3.798
1.993 -3.195 -4.169
4.836 -6.855 -4.029
0.275 -6.629 -3.938
3.243 -9.104 -3.236
1.868 -4.380 -4.731
2.039 -4.636 -1.627
3.072 -8.848 -6.340
```

Best to worst by energy: B, A.